! MgCu2O2 PBE optimized geometry; values from VASP
! E above lowest polymorph (meV per atom): 441
! E_form (meV per atom): -981
&SYSTEM
  ibrav = 0, nat = 5, ntyp = 3
/
ATOMIC_SPECIES
Mg 24.30 Mg.upf
Cu 63.55 Cu.upf
O 16.00 O.upf
CELL_PARAMETERS angstrom
4.7959 0.0000 0.0000
0.0000 2.8170 0.0000
-0.0465 0.0000 5.6152
ATOMIC_POSITIONS crystal
Mg 0.0000 0.0000 0.0000
Cu 0.0000 0.0000 0.5000
Cu 0.5000 0.5000 0.0000
O 0.0080 0.5000 0.7462
O 0.9920 0.5000 0.2538